1.
! CsK2InF6 (GGA-PBE, relaxed); values from VASP
! - magnetization (μB per formula unit) = 0.00
! - DFT formation energy (kJ per mole of atoms) = -278
&SYSTEM
  ibrav = 0, nat = 10, ntyp = 4
/
ATOMIC_SPECIES
F 19.00 F.upf
K 39.10 K.upf
In 114.82 In.upf
Cs 132.91 Cs.upf
CELL_PARAMETERS angstrom
0.000 4.879 4.879
4.879 0.000 4.879
4.879 4.879 0.000
ATOMIC_POSITIONS angstrom
F 4.879 7.655 4.879
F 4.879 4.879 7.655
F 2.104 4.879 4.879
F 4.879 2.104 4.879
F 7.655 4.879 4.879
F 4.879 4.879 2.104
K 2.440 2.440 2.440
K 7.319 7.319 7.319
In 0.000 0.000 0.000
Cs 4.879 4.879 4.879


2.
! Cs2InSbF6 (GGA-PBE, relaxed); values from VASP
! - DFT formation energy (kJ per mole of atoms) = -255
&SYSTEM
  ibrav = 0, nat = 10, ntyp = 4
/
ATOMIC_SPECIES
F 19.00 F.upf
Cs 132.91 Cs.upf
In 114.82 In.upf
Sb 121.76 Sb.upf
CELL_PARAMETERS angstrom
-3.473 -0.537 5.937
-6.899 0.046 -0.023
-3.493 -5.772 1.443
ATOMIC_POSITIONS angstrom
F -5.045 -1.716 4.911
F -6.950 -4.865 5.698
F -5.055 -4.572 2.459
F -6.914 -1.398 1.659
F -8.820 -4.547 2.446
F -8.809 -1.691 4.898
Cs -10.398 -4.698 5.518
Cs -3.466 -1.566 1.839
In -6.932 -3.132 3.679
Sb 0.000 0.000 0.000